## Rb2H6Pt (meta-GGA r2SCAN)

Data for Rb2H6Pt after structural relaxation.

The calculation puts the total magnetization at 0.000 μB/cell. The formation energy from the elements is -0.469 eV per atom.

It has space group Fm-3m (No. 225), with a = 8.522 Å, b = 8.522 Å, c = 8.522 Å, α = 90.00°, β = 90.00° and γ = 90.00°. The distinct sites, in fractional coordinates, are Rb at (0.250, 0.250, 0.250), H at (0.000, 0.000, 0.193) and Pt at (0.000, 0.000, 0.000).